Record 1
An optimized crystal structure of LiNi6O7, computed with GGA+U.

Computed properties:
Volume, Å³/cell: 255.3
E_form, kJ per mole of atoms: -123.6

Structure (CIF):
```
data_LiNi6O7
_chemical_formula_sum 'Li2 Ni12 O14'
_cell_length_a 5.1171
_cell_length_b 5.9101
_cell_length_c 8.8648
_cell_angle_alpha 89.96
_cell_angle_beta 84.51
_cell_angle_gamma 73.18
_space_group_name_H-M_alt 'P -1'
_space_group_IT_number 2
_space_group_name_Hall '-P 1'
loop_
_atom_site_label
_atom_site_fract_x
_atom_site_fract_y
_atom_site_fract_z
Li1 0.1425 0.2145 0.2141
Ni1 0.0000 0.0000 0.5000
Ni2 0.0000 0.5000 0.5000
Ni3 0.1435 0.7138 0.2140
Ni4 0.2817 0.4296 0.9295
Ni5 0.2853 0.9288 0.9288
Ni6 0.4266 0.6455 0.6453
Ni7 0.4313 0.1399 0.6443
O1 0.0034 0.7503 0.0053
O2 0.1480 0.4581 0.7109
O3 0.1476 0.9675 0.7129
O4 0.2852 0.6777 0.4289
O5 0.2871 0.1796 0.4334
O6 0.4363 0.8854 0.1392
O7 0.4380 0.3960 0.1420
```

Record 2
An optimized crystal structure of LiNi9O13, computed with GGA+U.

Computed properties:
Volume, Å³/cell: 228.8
Polymorph energy (0 for the lowest one), kJ per mole of atoms: 9.0
E_form, kJ per mole of atoms: -84.6
Magnetization, μB/atom: 0.5386

Structure (CIF):
```
data_LiNi9O13
_chemical_formula_sum 'Li1 Ni9 O13'
_cell_length_a 2.8826
_cell_length_b 5.1596
_cell_length_c 16.2283
_cell_angle_alpha 99.14
_cell_angle_beta 90.05
_cell_angle_gamma 106.05
_space_group_name_H-M_alt 'P 1'
_space_group_IT_number 1
_space_group_name_Hall 'P 1'
loop_
_atom_site_label
_atom_site_fract_x
_atom_site_fract_y
_atom_site_fract_z
Li1 0.0000 0.0000 0.0000
Ni1 0.0498 0.0968 0.3276
Ni2 0.1033 0.2013 0.5263
Ni3 0.1583 0.3116 0.8896
Ni4 0.2965 0.5914 0.2521
Ni5 0.3903 0.7740 0.5985
Ni6 0.5450 0.0881 0.1660
Ni7 0.6882 0.3695 0.6901
Ni8 0.7888 0.5745 0.0816
Ni9 0.9660 0.9257 0.7651
O1 0.0392 0.0716 0.6389
O2 0.1690 0.3334 0.4266
O3 0.1779 0.3521 0.1331
O4 0.3372 0.6672 0.7117
O5 0.4163 0.8315 0.0625
O6 0.4377 0.8710 0.3556
O7 0.4761 0.9472 0.4975
O8 0.6270 0.2488 0.8020
O9 0.6605 0.3200 0.2778
O10 0.6787 0.3521 0.9683
O11 0.7378 0.4675 0.5721
O12 0.9274 0.8536 0.2172
O13 0.9515 0.8966 0.8810
```

Record 3
An optimized crystal structure of LiNiO2, computed with GGA+U.

Computed properties:
Volume, Å³/cell: 138.7
E_form, kJ per mole of atoms: -143.1

Structure (CIF):
```
data_LiNiO2
_chemical_formula_sum 'Li4 Ni4 O8'
_cell_length_a 4.0508
_cell_length_b 4.0508
_cell_length_c 8.4516
_cell_angle_alpha 90.00
_cell_angle_beta 90.00
_cell_angle_gamma 90.00
_space_group_name_H-M_alt 'I 41/a m d'
_space_group_IT_number 141
loop_
_space_group_symop_operation_xyz
'x,y,z'
'-x,-y,-z'
'-y+1/4,x+3/4,z+1/4'
'y+1/4,-x+3/4,-z+1/4'
'-x+1/2,-y,z+1/2'
'x+1/2,y,-z+1/2'
'y+1/4,-x+1/4,z+3/4'
'-y+1/4,x+1/4,-z+3/4'
'x,-y,-z'
'-x,y,z'
'-y+1/4,-x+1/4,-z+3/4'
'y+1/4,x+1/4,z+3/4'
'-x+1/2,y,-z+1/2'
'x+1/2,-y,z+1/2'
'y+1/4,x+3/4,-z+1/4'
'-y+1/4,-x+3/4,z+1/4'
'x+1/2,y+1/2,z+1/2'
'-x+1/2,-y+1/2,-z+1/2'
'-y+3/4,x+1/4,z+3/4'
'y+3/4,-x+1/4,-z+3/4'
'-x,-y+1/2,z'
'x,y+1/2,-z'
'y+3/4,-x+3/4,z+1/4'
'-y+3/4,x+3/4,-z+1/4'
'x+1/2,-y+1/2,-z+1/2'
'-x+1/2,y+1/2,z+1/2'
'-y+3/4,-x+3/4,-z+1/4'
'y+3/4,x+3/4,z+1/4'
'-x,y+1/2,-z'
'x,-y+1/2,z'
'y+3/4,x+1/4,-z+3/4'
'-y+3/4,-x+1/4,z+3/4'
loop_
_atom_site_label
_atom_site_fract_x
_atom_site_fract_y
_atom_site_fract_z
Li1 0.0000 0.2500 0.3750
Ni1 0.0000 0.2500 0.8750
O1 0.0000 0.2500 0.1035
```

Repeat the second record exactly.
An optimized crystal structure of LiNi9O13, computed with GGA+U.

Computed properties:
Volume, Å³/cell: 228.8
Polymorph energy (0 for the lowest one), kJ per mole of atoms: 9.0
E_form, kJ per mole of atoms: -84.6
Magnetization, μB/atom: 0.5386

Structure (CIF):
```
data_LiNi9O13
_chemical_formula_sum 'Li1 Ni9 O13'
_cell_length_a 2.8826
_cell_length_b 5.1596
_cell_length_c 16.2283
_cell_angle_alpha 99.14
_cell_angle_beta 90.05
_cell_angle_gamma 106.05
_space_group_name_H-M_alt 'P 1'
_space_group_IT_number 1
_space_group_name_Hall 'P 1'
loop_
_atom_site_label
_atom_site_fract_x
_atom_site_fract_y
_atom_site_fract_z
Li1 0.0000 0.0000 0.0000
Ni1 0.0498 0.0968 0.3276
Ni2 0.1033 0.2013 0.5263
Ni3 0.1583 0.3116 0.8896
Ni4 0.2965 0.5914 0.2521
Ni5 0.3903 0.7740 0.5985
Ni6 0.5450 0.0881 0.1660
Ni7 0.6882 0.3695 0.6901
Ni8 0.7888 0.5745 0.0816
Ni9 0.9660 0.9257 0.7651
O1 0.0392 0.0716 0.6389
O2 0.1690 0.3334 0.4266
O3 0.1779 0.3521 0.1331
O4 0.3372 0.6672 0.7117
O5 0.4163 0.8315 0.0625
O6 0.4377 0.8710 0.3556
O7 0.4761 0.9472 0.4975
O8 0.6270 0.2488 0.8020
O9 0.6605 0.3200 0.2778
O10 0.6787 0.3521 0.9683
O11 0.7378 0.4675 0.5721
O12 0.9274 0.8536 0.2172
O13 0.9515 0.8966 0.8810
```

Q: Among the records above, which one has the highest volume?
A: LiNi6O7